A relaxed structure of ZnH8N4Cl2. Source: Materials Project, functional GGA-PBE.

Lattice parameters (Å, degrees): 9.0689 7.8635 4.2023 90.00 104.80 90.00
Space group C2/m (No. 12)
Asymmetric unit:
1 Zn 0.0000 0.0000 0.0000 x2
2 H 0.0577 0.3117 0.2977 x8
3 H 0.1570 0.1629 0.5430 x8
4 N 0.0513 0.1925 0.3943 x8
5 Cl 0.2159 0.5000 0.9959 x4

Calculated values
Size of the total moment in Bohr magnetons per cell: 0.01
Total energy in eV/cell: -142.0

A relaxed structure of ZnH12N3Cl5. Source: Materials Project, functional GGA-PBE.

Lattice parameters (Å, degrees): 8.8486 9.9781 12.5912 90.00 90.00 90.00
Space group Pnma (No. 62)
Asymmetric unit:
1 Zn 0.1850 0.2500 0.1064 x4
2 H 0.0036 0.7500 0.3933 x4
3 H 0.0053 0.5763 0.1640 x8
4 H 0.0659 0.1658 0.5012 x8
5 H 0.0788 0.5447 0.7628 x8
6 H 0.1088 0.5377 0.8945 x8
7 H 0.1820 0.0838 0.8130 x8
8 H 0.1857 0.2500 0.5818 x4
9 N 0.0796 0.2500 0.5477 x4
10 N 0.0913 0.0188 0.8269 x8
11 Cl 0.0393 0.7500 0.9885 x4
12 Cl 0.1268 0.2500 0.2819 x4
13 Cl 0.1671 0.7500 0.2638 x4
14 Cl 0.1909 0.5571 0.5638 x8

Calculated values
Size of the total moment in Bohr magnetons per cell: 0.00
Total energy in eV/cell: -363.0

A relaxed structure of NaH4ClO2. Source: Materials Project, functional GGA-PBE.

Lattice parameters (Å, degrees): 6.4617 10.1851 6.6038 90.00 114.80 90.00
Space group P2_1/c (No. 14)
Asymmetric unit:
1 Na 0.0277 0.1682 0.4546 x4
2 H 0.2240 0.5905 0.7785 x4
3 H 0.2533 0.0392 0.8818 x4
4 H 0.3627 0.7021 0.9355 x4
5 H 0.3814 0.5237 0.2486 x4
6 Cl 0.2950 0.1146 0.2091 x4
7 O 0.2082 0.6804 0.8271 x4
8 O 0.2311 0.0089 0.7320 x4

Calculated values
Total energy in eV/cell: -145.4

A relaxed structure of Na3TlH24Cl6O12. Source: Materials Project, functional GGA-PBE.

Lattice parameters (Å, degrees): 8.7747 8.7781 8.8509 71.40 73.61 73.16
Space group P1 (No. 1)
Asymmetric unit:
1 Na 0.0000 0.0000 0.0000 x1
2 Na 0.1462 0.1620 0.1933 x1
3 Na 0.3129 0.3516 0.3717 x1
4 Tl 0.6632 0.6611 0.6589 x1
5 H 0.0106 0.2385 0.5096 x1
6 H 0.0192 0.5091 0.2187 x1
7 H 0.0298 0.8102 0.7544 x1
8 H 0.0853 0.5764 0.5830 x1
9 H 0.0900 0.3030 0.8584 x1
10 H 0.1221 0.0655 0.5645 x1
11 H 0.1338 0.7903 0.3039 x1
12 H 0.1646 0.5151 0.0667 x1
13 H 0.2054 0.8098 0.7598 x1
14 H 0.2566 0.6171 0.5299 x1
15 H 0.2582 0.1852 0.8151 x1
16 H 0.2727 0.8086 0.1519 x1
17 H 0.4783 0.2265 0.0709 x1
18 H 0.4858 0.3181 0.6604 x1
19 H 0.4884 0.0695 0.2208 x1
20 H 0.5035 0.6197 0.3179 x1
21 H 0.5951 0.0767 0.5610 x1
22 H 0.6098 0.6062 0.0430 x1
23 H 0.7538 0.0737 0.8213 x1
24 H 0.7604 0.1600 0.8122 x1
25 H 0.7814 0.8160 0.1615 x1
26 H 0.7819 0.8110 0.0779 x1
27 H 0.7843 0.2908 0.1607 x1
28 H 0.8118 0.1202 0.2879 x1
29 Cl 0.4515 0.8008 0.4635 x1
30 Cl 0.4639 0.4594 0.8316 x1
31 Cl 0.5101 0.8336 0.8703 x1
32 Cl 0.8139 0.4629 0.4764 x1
33 Cl 0.8249 0.8961 0.5012 x1
34 Cl 0.9098 0.5370 0.8218 x1
35 O 0.0926 0.8720 0.7789 x1
36 O 0.1165 0.1670 0.4760 x1
37 O 0.1277 0.4495 0.1763 x1
38 O 0.1571 0.1933 0.8989 x1
39 O 0.1630 0.8653 0.1955 x1
40 O 0.1782 0.5885 0.4895 x1
41 O 0.4181 0.1737 0.1773 x1
42 O 0.4241 0.2539 0.6348 x1
43 O 0.4743 0.5610 0.2545 x1
44 O 0.5372 0.1856 0.5037 x1
45 O 0.6292 0.5182 0.1436 x1
46 O 0.8576 0.1812 0.1778 x1

Calculated values
Size of the total moment in Bohr magnetons per cell: 0.00
Total energy in eV/cell: -199.6

A relaxed structure of Na2ZnH3Cl4. Source: Materials Project, functional GGA-PBE.

Lattice parameters (Å, degrees): 7.0468 7.0468 6.3392 90.00 90.00 120.00
Space group P31m (No. 157)
Asymmetric unit:
1 Na 0.3333 0.6667 0.0000 x2
2 Zn 0.0000 0.0000 0.9662 x1
3 H 0.0000 0.5002 0.3454 x3
4 Cl 0.0000 0.0000 0.3159 x1
5 Cl 0.0000 0.3084 0.8356 x3

Calculated values
Size of the total moment in Bohr magnetons per cell: 3.00
Total energy in eV/cell: -24.5

A relaxed structure of NdH2ClO2. Source: Materials Project, functional GGA-PBE.

Lattice parameters (Å, degrees): 6.3013 3.8959 6.8860 90.00 112.56 90.00
Space group P2_1/m (No. 11)
Asymmetric unit:
1 Nd 0.1911 0.2500 0.3671 x2
2 H 0.1923 0.2500 0.8047 x2
3 H 0.3831 0.7500 0.7165 x2
4 Cl 0.2504 0.7500 0.0560 x2
5 O 0.0711 0.2500 0.6639 x2
6 O 0.3994 0.7500 0.5811 x2

Calculated values
Size of the total moment in Bohr magnetons per cell: 0.00
Total energy in eV/cell: -71.4

A relaxed structure of NdH12Cl3O6. Source: Materials Project, functional GGA-PBE.

Lattice parameters (Å, degrees): 8.0840 6.6588 12.3282 90.00 127.46 90.00
Space group P2/c (No. 13)
Asymmetric unit:
1 Nd 0.0000 0.1452 0.2500 x2
2 H 0.0264 0.4505 0.8847 x4
3 H 0.2008 0.4719 0.1829 x4
4 H 0.2452 0.0903 0.1341 x4
5 H 0.3282 0.0878 0.7387 x4
6 H 0.3741 0.3300 0.5323 x4
7 H 0.4672 0.2523 0.4595 x4
8 Cl 0.2039 0.1739 0.9486 x4
9 Cl 0.5000 0.3608 0.7500 x2
10 O 0.0596 0.4258 0.1460 x4
11 O 0.2628 0.0460 0.2173 x4
12 O 0.3359 0.2965 0.4415 x4

Calculated values
Size of the total moment in Bohr magnetons per cell: 0.00
Total energy in eV/cell: -217.9

A relaxed structure of NpH4ClO4. Source: Materials Project, functional GGA-PBE.

Lattice parameters (Å, degrees): 21.7390 21.7390 9.1654 90.00 90.00 90.00
Space group I4_1/a (No. 88, origin choice 2)
Asymmetric unit:
1 Np 0.0079 0.3861 0.1392 x16
2 Np 0.1339 0.4785 0.8541 x16
3 H 0.0054 0.3855 0.7999 x16
4 H 0.0122 0.4771 0.6713 x16
5 H 0.0360 0.1715 0.8503 x16
6 H 0.0545 0.4332 0.5779 x16
7 H 0.0944 0.1141 0.5024 x16
8 H 0.1226 0.0542 0.5734 x16
9 H 0.1294 0.0377 0.8529 x16
10 H 0.1644 0.4243 0.3153 x16
11 Cl 0.0098 0.1495 0.4273 x16
12 Cl 0.0813 0.4751 0.3182 x16
13 O 0.0215 0.1302 0.8779 x16
14 O 0.0468 0.4480 0.6776 x16
15 O 0.0504 0.0504 0.1496 x16
16 O 0.0644 0.3212 0.1345 x16
17 O 0.0845 0.4344 0.9841 x16
18 O 0.1337 0.0952 0.5359 x16
19 O 0.1557 0.0440 0.9388 x16
20 O 0.1812 0.0249 0.2761 x16

Calculated values
Size of the total moment in Bohr magnetons per cell: 64.00
Total energy in eV/cell: -2062.4